Computed, not measured: crystalline CeMg6Bi at its relaxed geometry at the PBE level of DFT.

Cell lengths 5.344, 6.443, 12.038 Å; angles 90.00, 90.00, 90.00 degrees
Element x y z (fractional)
Mg 0.000 0.254 0.574
Mg 0.000 0.754 0.074
Mg 0.000 0.500 0.338
Mg 0.500 0.747 0.919
Mg 0.500 0.253 0.919
Mg 0.000 0.500 0.837
Mg 0.500 0.247 0.419
Mg 0.500 0.753 0.419
Mg 0.000 0.246 0.074
Mg 0.000 0.000 0.337
Mg 0.000 0.746 0.574
Mg 0.000 0.000 0.838
Ce 0.500 0.500 0.672
Ce 0.500 0.000 0.172
Bi 0.500 0.000 0.668
Bi 0.500 0.500 0.168

Properties
The value obtained for the electronic total energy is -2.48 eV/atom. As for the energy of formation: -1.2 kcal/mol of atoms. The calculation puts the energy above the most stable polymorph in this dataset at 0 meV/atom. Its mass density is 4.0 g cm⁻³. The calculation puts the volume at 415 Å³ per cell.